## MgCrP2S7 (GGA-PBE)

Data for an optimized crystal structure of MgCrP2S7.

- Total magnetization: 2.00 μB/cell
- Crystal system: triclinic
- Formation enthalpy at 0 K: -0.6966 eV per atom
- Raw total energy: -5.016 eV per atom

Cell: 6.773 6.862 6.953 Å, 88.18 89.79 85.00°
Space group P1 (No. 1)
One atom of each set of equivalent atoms:
Mg 0.000 0.000 0.000
Cr 0.557 0.218 0.051
P 0.127 0.370 0.148
P 0.667 0.763 0.947
S 0.238 0.227 0.899
S 0.373 0.324 0.322
S 0.518 0.545 0.849
S 0.551 0.892 0.191
S 0.689 0.027 0.782
S 0.876 0.225 0.246
S 0.968 0.662 0.953


## MgCr4S8 (GGA-PBE)

Data for an optimized crystal structure of MgCr4S8.

- Energy above the lowest structure with this stoichiometry: 10.5 meV per atom
- Crystal system: trigonal
- Formation enthalpy at 0 K: -1.0307 eV per atom
- Raw total energy: -6.360 eV per atom

Cell: 6.8243 6.8243 17.9290 Å, 90.00 90.00 120.00°
Space group R-3m (No. 166, hexagonal axes)
One atom of each set of equivalent atoms:
Mg 0.0000 0.0000 0.0000
Cr 0.0000 0.0000 0.5000
Cr 0.0000 0.5000 0.5000
S 0.0000 0.0000 0.2404
S 0.0014 0.5007 0.2416


## MgCr4S8 (GGA-PBE)

Data for an optimized crystal structure of MgCr4S8.

- Energy above the lowest structure with this stoichiometry: 176.4 meV per atom
- Total magnetization: 7.96 μB/cell
- Crystal system: triclinic
- Formation enthalpy at 0 K: -0.8648 eV per atom
- Raw total energy: -6.194 eV per atom

Cell: 6.502 6.504 8.434 Å, 112.40 111.35 90.25°
Space group P1 (No. 1)
One atom of each set of equivalent atoms:
Mg 0.000 0.000 0.000
Cr 0.054 0.801 0.620
Cr 0.201 0.952 0.382
Cr 0.204 0.424 0.383
Cr 0.572 0.799 0.621
S 0.346 0.591 0.688
S 0.349 0.073 0.691
S 0.375 0.130 0.262
S 0.406 0.652 0.316
S 0.862 0.091 0.724
S 0.866 0.625 0.733
S 0.913 0.138 0.281
S 0.937 0.648 0.311


## MgCr4S8 (GGA-PBE)

Data for an optimized crystal structure of MgCr4S8.

- Energy above the lowest structure with this stoichiometry: 0.0 meV per atom
- Crystal system: monoclinic
- Formation enthalpy at 0 K: -1.0412 eV per atom
- Raw total energy: -6.370 eV per atom

Cell: 12.181 7.037 7.041 Å, 90.00 125.18 90.00°
Space group Cm (No. 8)
One atom of each set of equivalent atoms:
Mg 0.000 0.000 0.000
Cr 0.117 0.500 0.383
Cr 0.117 0.500 0.852
Cr 0.383 0.235 0.383
S 0.120 0.261 0.620
S 0.140 0.279 0.140
S 0.360 0.500 0.582
S 0.361 0.500 0.140
S 0.380 0.000 0.141
S 0.381 0.000 0.620